The following is a PBE calculation of a geometry-optimized Li2CeAl structure, from the Materials Project database.

a b c (Å): 4.8327 4.8327 4.8327
angles (deg): 60.00 60.00 60.00
Atoms (fractional coordinates):
Li 0.2500 0.2500 0.2500
Li 0.7500 0.7500 0.7500
Ce 0.0000 0.0000 0.0000
Al 0.5000 0.5000 0.5000

Output
ΔH_f (0 K)	-78	meV per atom
E	-13.8	eV for the cell shown
E above lowest polymorph	0.000	eV/atom
SG	Fm-3m, No. 225